Entry 1:
Here is a relaxed Co4P6SN12 crystal from the Materials Project database. Energies are from GGA-PBE.

Cell: 6.666 6.666 6.666 Å, 112.57 112.57 103.44°
Element x y z (fractional)
Co (0.021, 0.021, 0.794)
Co (0.227, 0.227, 0.206)
Co (0.773, 0.979, 0.000)
Co (0.979, 0.773, 0.000)
P (0.000, 0.500, 0.500)
P (0.060, 0.465, 0.000)
P (0.465, 0.060, 0.000)
P (0.500, 0.000, 0.500)
P (0.535, 0.535, 0.595)
P (0.940, 0.940, 0.405)
S (0.500, 0.500, 0.000)
N (0.011, 0.528, 0.761)
N (0.190, 0.190, 0.691)
N (0.233, 0.472, 0.482)
N (0.249, 0.767, 0.239)
N (0.472, 0.233, 0.482)
N (0.499, 0.499, 0.309)
N (0.501, 0.810, 0.000)
N (0.528, 0.011, 0.761)
N (0.751, 0.989, 0.518)
N (0.767, 0.249, 0.239)
N (0.810, 0.501, 0.000)
N (0.989, 0.751, 0.518)

E_tot: -6.460 eV per atom
ΔE_f: 0.529 eV/atom
corrected total energy (MP2020 scheme): -152.92 eV for the cell shown

***

Entry 2:
Here is a relaxed K3CeP2O8 crystal from the Materials Project database. Energies are from GGA-PBE.

Cell: 7.558 5.707 9.686 Å, 90.00 90.86 90.00°
Element x y z (fractional)
K (0.008, 0.250, 0.191)
K (0.139, 0.750, 0.406)
K (0.296, 0.250, 0.917)
K (0.704, 0.750, 0.083)
K (0.861, 0.250, 0.594)
K (0.992, 0.750, 0.809)
Ce (0.491, 0.750, 0.709)
Ce (0.509, 0.250, 0.291)
P (0.264, 0.750, 0.086)
P (0.300, 0.250, 0.574)
P (0.700, 0.750, 0.426)
P (0.736, 0.250, 0.914)
O (0.062, 0.750, 0.100)
O (0.215, 0.250, 0.426)
O (0.242, 0.027, 0.654)
O (0.242, 0.473, 0.654)
O (0.319, 0.750, 0.931)
O (0.343, 0.527, 0.158)
O (0.343, 0.973, 0.158)
O (0.496, 0.750, 0.443)
O (0.504, 0.250, 0.557)
O (0.657, 0.027, 0.842)
O (0.657, 0.473, 0.842)
O (0.681, 0.250, 0.069)
O (0.758, 0.527, 0.346)
O (0.758, 0.973, 0.346)
O (0.785, 0.750, 0.574)
O (0.938, 0.250, 0.900)

E_tot: -6.825 eV per atom
ΔE_f: -2.955 eV/atom
corrected total energy (MP2020 scheme): -202.09 eV for the cell shown

***

Entry 3:
Here is a relaxed HfMg14Al crystal from the Materials Project database. Energies are from GGA-PBE.

Cell: 10.242 6.372 6.372 Å, 58.48 90.00 90.00°
Element x y z (fractional)
Hf (0.000, 0.000, 0.000)
Mg (0.000, 0.001, 0.495)
Mg (0.000, 0.495, 0.001)
Mg (0.244, 0.661, 0.661)
Mg (0.246, 0.162, 0.665)
Mg (0.246, 0.665, 0.162)
Mg (0.249, 0.161, 0.161)
Mg (0.500, 0.497, 0.497)
Mg (0.500, 0.498, 0.995)
Mg (0.500, 0.995, 0.498)
Mg (0.500, 0.996, 0.996)
Mg (0.751, 0.161, 0.161)
Mg (0.754, 0.162, 0.665)
Mg (0.754, 0.665, 0.162)
Mg (0.756, 0.661, 0.661)
Al (0.000, 0.494, 0.494)

E_tot: -2.232 eV per atom
ΔE_f: 0.025 eV/atom
polymorph energy (0 for the lowest one): 0.000 eV per atom

***

E_tot of number 1 (Co4P6SN12)?
-6.460 eV per atom

***

Repeat the first record exactly.
Here is a relaxed Co4P6SN12 crystal from the Materials Project database. Energies are from GGA-PBE.

Cell: 6.666 6.666 6.666 Å, 112.57 112.57 103.44°
Element x y z (fractional)
Co (0.021, 0.021, 0.794)
Co (0.227, 0.227, 0.206)
Co (0.773, 0.979, 0.000)
Co (0.979, 0.773, 0.000)
P (0.000, 0.500, 0.500)
P (0.060, 0.465, 0.000)
P (0.465, 0.060, 0.000)
P (0.500, 0.000, 0.500)
P (0.535, 0.535, 0.595)
P (0.940, 0.940, 0.405)
S (0.500, 0.500, 0.000)
N (0.011, 0.528, 0.761)
N (0.190, 0.190, 0.691)
N (0.233, 0.472, 0.482)
N (0.249, 0.767, 0.239)
N (0.472, 0.233, 0.482)
N (0.499, 0.499, 0.309)
N (0.501, 0.810, 0.000)
N (0.528, 0.011, 0.761)
N (0.751, 0.989, 0.518)
N (0.767, 0.249, 0.239)
N (0.810, 0.501, 0.000)
N (0.989, 0.751, 0.518)

E_tot: -6.460 eV per atom
ΔE_f: 0.529 eV/atom
corrected total energy (MP2020 scheme): -152.92 eV for the cell shown